! NdS, relaxed, DFT r²SCAN; values from VASP
! total moment = 0.0 μB per formula unit
! E = -21.02 eV per atom
&SYSTEM
  ibrav = 0, nat = 2, ntyp = 2
/
ATOMIC_SPECIES
Nd 144.24 Nd.upf
S 32.06 S.upf
CELL_PARAMETERS angstrom
0.000 2.876 2.876
2.876 0.000 2.876
2.876 2.876 0.000
ATOMIC_POSITIONS crystal
Nd 0.000 0.000 0.000
S 0.500 0.500 0.500

---

! Nd3S4, relaxed, DFT r²SCAN; values from VASP
! total moment = 0.0 μB per formula unit
! E = -19.51 eV per atom
&SYSTEM
  ibrav = 0, nat = 14, ntyp = 2
/
ATOMIC_SPECIES
Nd 144.24 Nd.upf
S 32.06 S.upf
CELL_PARAMETERS angstrom
-4.291 4.291 4.291
4.291 -4.291 4.291
4.291 4.291 -4.291
ATOMIC_POSITIONS crystal
Nd 0.125 0.750 0.875
Nd 0.250 0.625 0.375
Nd 0.375 0.250 0.625
Nd 0.625 0.375 0.250
Nd 0.750 0.875 0.125
Nd 0.875 0.125 0.750
S 0.000 0.352 0.500
S 0.000 0.852 0.500
S 0.148 0.148 0.148
S 0.352 0.500 0.000
S 0.500 0.000 0.352
S 0.500 0.000 0.852
S 0.648 0.648 0.648
S 0.852 0.500 0.000

---

! Nd2SiS5, relaxed, DFT r²SCAN; values from VASP
! total moment = 0.0 μB per formula unit
! E = -15.27 eV per atom
&SYSTEM
  ibrav = 0, nat = 32, ntyp = 3
/
ATOMIC_SPECIES
Nd 144.24 Nd.upf
Si 28.09 Si.upf
S 32.06 S.upf
CELL_PARAMETERS angstrom
7.557 0.000 0.000
0.000 12.505 0.000
-1.539 0.000 7.653
ATOMIC_POSITIONS crystal
Nd 0.162 0.165 0.132
Nd 0.162 0.335 0.632
Nd 0.240 0.594 0.042
Nd 0.240 0.906 0.542
Nd 0.760 0.094 0.458
Nd 0.760 0.406 0.958
Nd 0.838 0.665 0.368
Nd 0.838 0.835 0.868
Si 0.332 0.616 0.595
Si 0.332 0.884 0.095
Si 0.668 0.116 0.905
Si 0.668 0.384 0.405
S 0.130 0.703 0.695
S 0.130 0.797 0.195
S 0.137 0.121 0.497
S 0.137 0.379 0.997
S 0.174 0.529 0.385
S 0.174 0.971 0.885
S 0.421 0.003 0.281
S 0.421 0.497 0.781
S 0.473 0.227 0.950
S 0.473 0.273 0.450
S 0.527 0.727 0.550
S 0.527 0.773 0.050
S 0.579 0.503 0.219
S 0.579 0.997 0.719
S 0.826 0.029 0.115
S 0.826 0.471 0.615
S 0.863 0.621 0.003
S 0.863 0.879 0.503
S 0.870 0.203 0.805
S 0.870 0.297 0.305

---

Repeat the first record exactly.
! NdS, relaxed, DFT r²SCAN; values from VASP
! total moment = 0.0 μB per formula unit
! E = -21.02 eV per atom
&SYSTEM
  ibrav = 0, nat = 2, ntyp = 2
/
ATOMIC_SPECIES
Nd 144.24 Nd.upf
S 32.06 S.upf
CELL_PARAMETERS angstrom
0.000 2.876 2.876
2.876 0.000 2.876
2.876 2.876 0.000
ATOMIC_POSITIONS crystal
Nd 0.000 0.000 0.000
S 0.500 0.500 0.500

---

Look up the total moment of the first one.
0.0 μB per formula unit